No. 1
Density functional theory data (PBE) for a relaxed structure of Rb2B10H6O19.

## Properties
Crystal system: triclinic
Volume in Å³ per cell: 836.37
Spin magnetization in μB per atom: 0.00
E_tot in eV per atom: -7.059

a b c (Å): 7.7205 9.3281 12.2699
angles (deg): 99.19 105.94 91.59
Space group P-1 (No. 2)
Unique sites:
Rb 0.0126 0.4494 0.2449 [2 per cell]
Rb 0.4248 0.2387 0.7070 [2 per cell]
B 0.0773 0.8337 0.4300 [2 per cell]
B 0.0834 0.1462 0.9706 [2 per cell]
B 0.0891 0.8364 0.2302 [2 per cell]
B 0.1315 0.6713 0.0600 [2 per cell]
B 0.2693 0.0184 0.3963 [2 per cell]
B 0.3204 0.5528 0.5635 [2 per cell]
B 0.3240 0.4575 0.0599 [2 per cell]
B 0.4557 0.2468 0.3954 [2 per cell]
B 0.4915 0.7402 0.9695 [2 per cell]
B 0.5001 0.3591 0.2320 [2 per cell]
H 0.0784 0.8077 0.5891 [2 per cell]
H 0.1282 0.9453 0.7725 [2 per cell]
H 0.1290 0.3809 0.5032 [2 per cell]
H 0.2306 0.1120 0.1267 [2 per cell]
H 0.2709 0.8258 0.7735 [2 per cell]
H 0.3638 0.9147 0.0213 [2 per cell]
O 0.0070 0.7411 0.9840 [2 per cell]
O 0.0105 0.7825 0.3145 [2 per cell]
O 0.0205 0.7633 0.5056 [2 per cell]
O 0.0548 0.1055 0.8550 [2 per cell]
O 0.1651 0.8649 0.7233 [2 per cell]
O 0.1693 0.7124 0.1755 [2 per cell]
O 0.1989 0.9567 0.4726 [2 per cell]
O 0.2005 0.4548 0.4799 [2 per cell]
O 0.2075 0.0758 0.0440 [2 per cell]
O 0.2072 0.5546 0.0092 [2 per cell]
O 0.2337 0.9544 0.2842 [2 per cell]
O 0.3518 0.5494 0.6787 [2 per cell]
O 0.3711 0.4568 0.1750 [2 per cell]
O 0.3812 0.1442 0.4431 [2 per cell]
O 0.3864 0.3580 0.9847 [2 per cell]
O 0.4045 0.2570 0.2814 [2 per cell]
O 0.4111 0.6566 0.5251 [2 per cell]
O 0.4214 0.7287 0.8528 [2 per cell]
O 0.4467 0.8418 0.0492 [2 per cell]



No. 2
Density functional theory data (PBE) for a relaxed structure of Na7ZnSi3Sn3P3O24.

## Properties
Crystal system: triclinic
Volume in Å³ per cell: 1599.11
Spin magnetization in μB per atom: 0.00
E_tot in eV per atom: -6.371

a b c (Å): 9.0774 9.0777 22.4057
angles (deg): 89.96 89.72 60.01
Space group P1 (No. 1)
Unique sites:
Na 0.0000 0.0000 0.0000 [1 per cell]
Na 0.0012 0.6444 0.2483 [1 per cell]
Na 0.0464 0.9460 0.3297 [1 per cell]
Na 0.3014 0.2977 0.3291 [1 per cell]
Na 0.3044 0.6732 0.8346 [1 per cell]
Na 0.3180 0.3564 0.6645 [1 per cell]
Na 0.3213 0.6138 0.1633 [1 per cell]
Na 0.3374 0.9663 0.4083 [1 per cell]
Na 0.3438 0.9825 0.9128 [1 per cell]
Na 0.3656 0.2849 0.9992 [1 per cell]
Na 0.6375 0.6468 0.9963 [1 per cell]
Na 0.6408 0.0030 0.4953 [1 per cell]
Na 0.6541 0.6901 0.3310 [1 per cell]
Na 0.6623 0.3242 0.5798 [1 per cell]
Na 0.6636 0.3100 0.0808 [1 per cell]
Na 0.7104 0.9641 0.1632 [1 per cell]
Na 0.7184 0.6077 0.6618 [1 per cell]
Na 0.9698 0.9680 0.6608 [1 per cell]
Na 0.9730 0.3511 0.1659 [1 per cell]
Na 0.9940 0.6331 0.7493 [1 per cell]
Na 0.9978 0.2850 0.4997 [1 per cell]
Zn 0.0006 0.6505 0.0924 [1 per cell]
Zn 0.3358 0.9777 0.2705 [1 per cell]
Zn 0.9990 0.6335 0.5959 [1 per cell]
Si 0.0410 0.2695 0.6661 [1 per cell]
Si 0.2947 0.6436 0.0004 [1 per cell]
Si 0.3706 0.3107 0.8326 [1 per cell]
Si 0.3711 0.6054 0.3321 [1 per cell]
Si 0.6698 0.0171 0.3335 [1 per cell]
Si 0.6708 0.6074 0.8316 [1 per cell]
Si 0.7027 0.6435 0.5015 [1 per cell]
Si 0.7082 0.9391 0.0012 [1 per cell]
Si 0.9619 0.3114 0.3331 [1 per cell]
Sn 0.3326 0.9740 0.5635 [1 per cell]
Sn 0.3364 0.9829 0.7706 [1 per cell]
Sn 0.3370 0.9746 0.0658 [1 per cell]
Sn 0.6635 0.3122 0.9315 [1 per cell]
Sn 0.6639 0.3180 0.4331 [1 per cell]
Sn 0.6661 0.3125 0.2340 [1 per cell]
Sn 0.6696 0.3134 0.7329 [1 per cell]
Sn 0.9963 0.6443 0.8964 [1 per cell]
Sn 0.9977 0.6462 0.3979 [1 per cell]
P 0.0014 0.3501 0.0008 [1 per cell]
P 0.0018 0.9364 0.5008 [1 per cell]
P 0.0388 0.9806 0.1677 [1 per cell]
P 0.2976 0.3505 0.5014 [1 per cell]
P 0.3355 0.2713 0.1673 [1 per cell]
P 0.3356 0.6853 0.6675 [1 per cell]
P 0.6261 0.9800 0.6659 [1 per cell]
P 0.6301 0.6797 0.1674 [1 per cell]
P 0.9609 0.0166 0.8321 [1 per cell]
O 0.0171 0.8233 0.1622 [1 per cell]
O 0.0210 0.4569 0.6634 [1 per cell]
O 0.0297 0.8304 0.4431 [1 per cell]
O 0.0422 0.4274 0.9461 [1 per cell]
O 0.1163 0.0148 0.1088 [1 per cell]
O 0.1187 0.1489 0.6052 [1 per cell]
O 0.1431 0.9920 0.8275 [1 per cell]
O 0.1479 0.1462 0.3282 [1 per cell]
O 0.1489 0.9572 0.2214 [1 per cell]
O 0.1582 0.9661 0.5027 [1 per cell]
O 0.1630 0.1677 0.0058 [1 per cell]
O 0.1695 0.1740 0.7212 [1 per cell]
O 0.1741 0.6842 0.9409 [1 per cell]
O 0.1766 0.6692 0.6615 [1 per cell]
O 0.1776 0.4497 0.1615 [1 per cell]
O 0.1854 0.4298 0.4446 [1 per cell]
O 0.1860 0.6149 0.3394 [1 per cell]
O 0.1889 0.4909 0.8374 [1 per cell]
O 0.2225 0.4535 0.5580 [1 per cell]
O 0.2227 0.5993 0.0593 [1 per cell]
O 0.3078 0.7944 0.7244 [1 per cell]
O 0.3104 0.1698 0.5041 [1 per cell]
O 0.3102 0.8193 0.0050 [1 per cell]
O 0.3118 0.1856 0.2217 [1 per cell]
O 0.3499 0.7915 0.3271 [1 per cell]
O 0.3520 0.1421 0.8294 [1 per cell]
O 0.3680 0.1600 0.1087 [1 per cell]
O 0.3776 0.7645 0.6130 [1 per cell]
O 0.4436 0.4849 0.2709 [1 per cell]
O 0.4551 0.3475 0.7728 [1 per cell]
O 0.4829 0.3166 0.4951 [1 per cell]
O 0.4840 0.2800 0.8926 [1 per cell]
O 0.4879 0.7886 0.8272 [1 per cell]
O 0.4906 0.4782 0.9942 [1 per cell]
O 0.4994 0.5035 0.6705 [1 per cell]
O 0.4990 0.5196 0.3880 [1 per cell]
O 0.5042 0.2834 0.1683 [1 per cell]
O 0.5043 0.9967 0.3293 [1 per cell]
O 0.5119 0.9662 0.0049 [1 per cell]
O 0.5132 0.0172 0.6088 [1 per cell]
O 0.5157 0.8235 0.5046 [1 per cell]
O 0.5182 0.7565 0.1090 [1 per cell]
O 0.5434 0.9421 0.7195 [1 per cell]
O 0.5457 0.7910 0.2215 [1 per cell]
O 0.6332 0.5242 0.8910 [1 per cell]
O 0.6348 0.1361 0.3930 [1 per cell]
O 0.6348 0.1483 0.6722 [1 per cell]
O 0.6416 0.4993 0.1690 [1 per cell]
O 0.6921 0.4674 0.4952 [1 per cell]
O 0.6926 0.1285 0.9926 [1 per cell]
O 0.7010 0.4949 0.7707 [1 per cell]
O 0.7133 0.0950 0.2730 [1 per cell]
O 0.7846 0.6846 0.4417 [1 per cell]
O 0.7898 0.8084 0.9447 [1 per cell]
O 0.8061 0.8271 0.6608 [1 per cell]
O 0.8102 0.6550 0.1604 [1 per cell]
O 0.8161 0.6063 0.5605 [1 per cell]
O 0.8158 0.8694 0.0618 [1 per cell]
O 0.8368 0.1167 0.4957 [1 per cell]
O 0.8385 0.6267 0.8364 [1 per cell]
O 0.8390 0.3580 0.2731 [1 per cell]
O 0.8439 0.3255 0.9913 [1 per cell]
O 0.8465 0.8319 0.3375 [1 per cell]
O 0.8515 0.2790 0.6701 [1 per cell]
O 0.8538 0.0959 0.7751 [1 per cell]
O 0.8574 0.1489 0.1690 [1 per cell]
O 0.8801 0.2723 0.3921 [1 per cell]
O 0.8816 0.1258 0.8887 [1 per cell]
O 0.9632 0.4559 0.0576 [1 per cell]
O 0.9744 0.4858 0.3385 [1 per cell]
O 0.9753 0.8568 0.5569 [1 per cell]
O 0.9826 0.8363 0.8368 [1 per cell]



no.,E_form (eV per atom)
1,-2.463
2,-2.534